No. 1
Density functional theory data (PBE) for an optimized crystal structure of NaTi2Nb2SiP5O24.

The total energy is -7.903 eV per atom.

abc: 8.719 8.721 22.505
angles: 90.00 89.92 120.01
Sites, in units of the cell vectors:
Na (0.000, 0.000, 0.999)
Na (0.666, 0.333, 0.830)
Na (0.667, 0.333, 0.337)
Ti (0.000, 0.996, 0.855)
Ti (0.002, 0.004, 0.150)
Ti (0.666, 0.333, 0.685)
Ti (0.667, 0.334, 0.480)
Ti (0.333, 0.667, 0.522)
Ti (0.330, 0.663, 0.310)
Nb (0.998, 0.003, 0.360)
Nb (0.000, 0.000, 0.642)
Nb (0.668, 0.334, 0.190)
Nb (0.665, 0.334, 0.977)
Nb (0.336, 0.671, 0.023)
Nb (0.339, 0.670, 0.808)
Si (0.006, 0.290, 0.250)
Si (0.624, 0.673, 0.915)
Si (0.328, 0.952, 0.915)
P (0.282, 0.995, 0.251)
P (0.712, 0.718, 0.251)
P (0.288, 0.282, 0.750)
P (0.994, 0.710, 0.750)
P (0.719, 0.007, 0.750)
P (0.953, 0.339, 0.582)
P (0.386, 0.047, 0.582)
P (0.661, 0.614, 0.582)
P (0.955, 0.626, 0.084)
P (0.672, 0.046, 0.084)
P (0.374, 0.328, 0.084)
P (0.049, 0.378, 0.916)
P (0.611, 0.951, 0.417)
P (0.340, 0.388, 0.417)
P (0.049, 0.662, 0.417)
O (0.201, 0.032, 0.305)
O (0.832, 0.797, 0.306)
O (0.967, 0.162, 0.308)
O (0.202, 0.169, 0.805)
O (0.966, 0.798, 0.805)
O (0.831, 0.033, 0.805)
O (0.802, 0.974, 0.694)
O (0.171, 0.197, 0.694)
O (0.027, 0.828, 0.695)
O (0.801, 0.829, 0.195)
O (0.031, 0.194, 0.192)
O (0.170, 0.969, 0.194)
O (0.865, 0.364, 0.638)
O (0.499, 0.135, 0.638)
O (0.635, 0.500, 0.638)
O (0.865, 0.506, 0.139)
O (0.640, 0.134, 0.139)
O (0.492, 0.360, 0.138)
O (0.465, 0.302, 0.029)
O (0.838, 0.536, 0.029)
O (0.699, 0.162, 0.029)
O (0.469, 0.167, 0.528)
O (0.698, 0.531, 0.528)
O (0.834, 0.303, 0.528)
O (0.530, 0.698, 0.975)
O (0.161, 0.463, 0.972)
O (0.299, 0.832, 0.975)
O (0.530, 0.836, 0.473)
O (0.305, 0.469, 0.473)
O (0.164, 0.694, 0.473)
O (0.133, 0.633, 0.361)
O (0.502, 0.869, 0.361)
O (0.367, 0.499, 0.361)
O (0.129, 0.495, 0.861)
O (0.364, 0.862, 0.858)
O (0.497, 0.632, 0.858)
O (0.027, 0.827, 0.407)
O (0.799, 0.971, 0.409)
O (0.174, 0.199, 0.408)
O (0.026, 0.193, 0.909)
O (0.159, 0.979, 0.908)
O (0.817, 0.845, 0.908)
O (0.972, 0.172, 0.593)
O (0.200, 0.028, 0.593)
O (0.828, 0.800, 0.593)
O (0.974, 0.809, 0.091)
O (0.834, 0.024, 0.091)
O (0.191, 0.162, 0.090)
O (0.693, 0.168, 0.742)
O (0.474, 0.307, 0.742)
O (0.831, 0.525, 0.742)
O (0.691, 0.530, 0.242)
O (0.829, 0.309, 0.242)
O (0.469, 0.164, 0.242)
O (0.646, 0.498, 0.925)
O (0.864, 0.360, 0.925)
O (0.506, 0.145, 0.925)
O (0.641, 0.141, 0.425)
O (0.501, 0.360, 0.425)
O (0.860, 0.499, 0.425)
O (0.356, 0.493, 0.075)
O (0.135, 0.637, 0.076)
O (0.504, 0.864, 0.076)
O (0.361, 0.862, 0.573)
O (0.501, 0.639, 0.573)
O (0.138, 0.499, 0.573)
O (0.309, 0.837, 0.260)
O (0.530, 0.696, 0.260)
O (0.175, 0.483, 0.261)
O (0.304, 0.466, 0.758)
O (0.159, 0.691, 0.758)
O (0.533, 0.839, 0.757)

***

No. 2
Density functional theory data (PBE) for an optimized crystal structure of Li2Nb4O11.

Its offset from the most stable computed form is 22 meV/atom.

abc: 8.206 8.206 9.931
angles: 54.35 54.35 26.72
Sites, in units of the cell vectors:
Li (0.885, 0.885, 0.759)
Li (0.115, 0.115, 0.241)
Nb (0.848, 0.848, 0.146)
Nb (0.371, 0.371, 0.422)
Nb (0.629, 0.629, 0.578)
Nb (0.152, 0.152, 0.854)
O (0.836, 0.836, 0.409)
O (0.653, 0.653, 0.782)
O (0.824, 0.824, 0.994)
O (0.684, 0.684, 0.349)
O (0.510, 0.510, 0.313)
O (0.490, 0.490, 0.687)
O (0.316, 0.316, 0.651)
O (0.000, 0.000, 0.000)
O (0.176, 0.176, 0.006)
O (0.347, 0.347, 0.218)
O (0.164, 0.164, 0.591)

***

No. 3
Density functional theory data (PBE) for an optimized crystal structure of Na3Bi2H42C18I9N6O9.

Its offset from the most stable computed form is 0 meV/atom.

abc: 13.425 13.552 18.957
angles: 71.66 74.86 63.45
Sites, in units of the cell vectors:
Na (0.000, 0.500, 0.500)
Na (0.000, 0.334, 0.661)
Na (0.000, 0.666, 0.339)
Na (0.945, 0.191, 0.837)
Na (0.055, 0.809, 0.163)
Na (0.000, 0.000, 0.000)
Bi (0.528, 0.092, 0.725)
Bi (0.472, 0.908, 0.275)
Bi (0.352, 0.428, 0.762)
Bi (0.648, 0.572, 0.238)
H (0.052, 0.311, 0.910)
H (0.948, 0.689, 0.090)
H (0.020, 0.225, 0.141)
H (0.980, 0.775, 0.859)
H (0.912, 0.226, 0.102)
H (0.088, 0.774, 0.898)
H (0.048, 0.111, 0.100)
H (0.952, 0.889, 0.900)
H (0.088, 0.349, 0.077)
H (0.912, 0.651, 0.923)
H (0.187, 0.300, 0.999)
H (0.813, 0.700, 0.001)
H (0.060, 0.422, 0.984)
H (0.940, 0.578, 0.016)
H (0.747, 0.008, 0.933)
H (0.253, 0.992, 0.067)
H (0.596, 0.301, 0.012)
H (0.404, 0.699, 0.988)
H (0.743, 0.224, 0.019)
H (0.257, 0.776, 0.981)
H (0.698, 0.305, 0.930)
H (0.302, 0.695, 0.070)
H (0.501, 0.206, 0.019)
H (0.499, 0.794, 0.981)
H (0.534, 0.145, 0.941)
H (0.466, 0.855, 0.059)
H (0.574, 0.057, 0.031)
H (0.426, 0.943, 0.969)
H (0.892, 0.044, 0.747)
H (0.108, 0.956, 0.253)
H (0.175, 0.929, 0.593)
H (0.825, 0.071, 0.407)
H (0.113, 0.079, 0.584)
H (0.887, 0.921, 0.416)
H (0.192, 0.988, 0.659)
H (0.808, 0.012, 0.341)
H (0.065, 0.844, 0.633)
H (0.935, 0.156, 0.367)
H (0.002, 0.837, 0.728)
H (0.998, 0.163, 0.272)
H (0.918, 0.927, 0.655)
H (0.082, 0.073, 0.345)
H (0.701, 0.447, 0.750)
H (0.299, 0.553, 0.250)
H (0.745, 0.600, 0.890)
H (0.255, 0.400, 0.110)
H (0.824, 0.450, 0.906)
H (0.176, 0.550, 0.094)
H (0.865, 0.541, 0.825)
H (0.135, 0.459, 0.175)
H (0.585, 0.663, 0.856)
H (0.415, 0.337, 0.144)
H (0.577, 0.649, 0.768)
H (0.423, 0.351, 0.232)
H (0.544, 0.556, 0.852)
H (0.456, 0.444, 0.148)
H (0.267, 0.194, 0.582)
H (0.733, 0.806, 0.418)
H (0.323, 0.274, 0.350)
H (0.677, 0.726, 0.650)
H (0.193, 0.258, 0.390)
H (0.807, 0.742, 0.610)
H (0.206, 0.384, 0.390)
H (0.794, 0.616, 0.610)
H (0.459, 0.168, 0.412)
H (0.541, 0.832, 0.588)
H (0.450, 0.196, 0.500)
H (0.550, 0.804, 0.500)
H (0.428, 0.076, 0.497)
H (0.572, 0.924, 0.503)
H (0.688, 0.502, 0.591)
H (0.312, 0.498, 0.409)
H (0.836, 0.242, 0.480)
H (0.164, 0.758, 0.520)
H (0.912, 0.330, 0.461)
H (0.088, 0.670, 0.539)
H (0.913, 0.230, 0.549)
H (0.087, 0.770, 0.451)
H (0.656, 0.326, 0.500)
H (0.344, 0.674, 0.500)
H (0.599, 0.375, 0.585)
H (0.401, 0.625, 0.415)
H (0.603, 0.474, 0.496)
H (0.397, 0.526, 0.504)
C (0.024, 0.257, 0.961)
C (0.976, 0.743, 0.039)
C (0.003, 0.203, 0.096)
C (0.997, 0.797, 0.904)
C (0.097, 0.339, 0.021)
C (0.903, 0.661, 0.979)
C (0.762, 0.077, 0.941)
C (0.238, 0.923, 0.059)
C (0.678, 0.251, 0.984)
C (0.322, 0.749, 0.016)
C (0.564, 0.139, 0.992)
C (0.436, 0.861, 0.008)
C (0.967, 0.060, 0.714)
C (0.033, 0.940, 0.286)
C (0.134, 0.997, 0.624)
C (0.866, 0.003, 0.376)
C (0.001, 0.894, 0.672)
C (0.999, 0.106, 0.328)
C (0.761, 0.445, 0.781)
C (0.239, 0.555, 0.219)
C (0.793, 0.529, 0.863)
C (0.207, 0.471, 0.137)
C (0.600, 0.602, 0.824)
C (0.400, 0.398, 0.176)
C (0.224, 0.246, 0.532)
C (0.776, 0.754, 0.468)
C (0.251, 0.292, 0.395)
C (0.749, 0.708, 0.605)
C (0.414, 0.165, 0.470)
C (0.586, 0.835, 0.530)
C (0.770, 0.440, 0.570)
C (0.230, 0.560, 0.430)
C (0.861, 0.289, 0.505)
C (0.139, 0.711, 0.495)
C (0.648, 0.388, 0.529)
C (0.352, 0.612, 0.471)
I (0.691, 0.044, 0.588)
I (0.309, 0.956, 0.412)
I (0.681, 0.895, 0.828)
I (0.319, 0.105, 0.172)
I (0.398, 0.970, 0.712)
I (0.602, 0.030, 0.288)
I (0.608, 0.266, 0.760)
I (0.392, 0.734, 0.240)
I (0.371, 0.329, 0.627)
I (0.629, 0.671, 0.373)
I (0.327, 0.195, 0.860)
I (0.673, 0.805, 0.140)
I (0.396, 0.630, 0.673)
I (0.604, 0.370, 0.327)
I (0.321, 0.487, 0.910)
I (0.679, 0.513, 0.090)
I (0.083, 0.533, 0.729)
I (0.917, 0.467, 0.271)
N (0.671, 0.153, 0.972)
N (0.329, 0.847, 0.028)
N (0.039, 0.267, 0.024)
N (0.961, 0.733, 0.976)
N (0.031, 0.986, 0.670)
N (0.969, 0.014, 0.330)
N (0.719, 0.523, 0.821)
N (0.281, 0.477, 0.179)
N (0.294, 0.236, 0.467)
N (0.706, 0.764, 0.533)
N (0.760, 0.374, 0.536)
N (0.240, 0.626, 0.464)
O (0.858, 0.081, 0.922)
O (0.142, 0.919, 0.078)
O (0.981, 0.193, 0.958)
O (0.019, 0.807, 0.042)
O (0.987, 0.140, 0.718)
O (0.013, 0.860, 0.282)
O (0.862, 0.374, 0.777)
O (0.138, 0.626, 0.223)
O (0.120, 0.306, 0.538)
O (0.880, 0.694, 0.462)
O (0.862, 0.435, 0.579)
O (0.138, 0.565, 0.421)
O (0.143, 0.047, 0.859)
O (0.857, 0.953, 0.141)
O (0.170, 0.120, 0.807)
O (0.830, 0.880, 0.193)
O (0.060, 0.474, 0.658)
O (0.940, 0.526, 0.342)

***

No. 4
Density functional theory data (PBE) for an optimized crystal structure of MgH4C4S4O12F12.

Its offset from the most stable computed form is 37 meV/atom.

abc: 5.416 8.956 12.226
angles: 87.89 81.46 106.82
Sites, in units of the cell vectors:
Mg (0.904, 0.300, 0.917)
H (0.450, 0.499, 0.840)
H (0.998, 0.005, 0.721)
H (0.516, 0.462, 0.265)
H (0.038, 0.979, 0.249)
C (0.402, 0.771, 0.945)
C (0.854, 0.218, 0.547)
C (0.750, 0.306, 0.087)
C (0.077, 0.754, 0.440)
S (0.584, 0.762, 0.803)
S (0.041, 0.249, 0.667)
S (0.491, 0.232, 0.210)
S (0.945, 0.734, 0.306)
O (0.627, 0.602, 0.811)
O (0.133, 0.103, 0.673)
O (0.398, 0.382, 0.225)
O (0.882, 0.892, 0.291)
O (0.838, 0.878, 0.800)
O (0.257, 0.387, 0.639)
O (0.275, 0.115, 0.175)
O (0.698, 0.612, 0.331)
O (0.422, 0.781, 0.724)
O (0.842, 0.242, 0.766)
O (0.602, 0.195, 0.303)
O (0.151, 0.721, 0.222)
F (0.397, 0.920, 0.957)
F (0.753, 0.337, 0.536)
F (0.850, 0.162, 0.064)
F (0.157, 0.629, 0.462)
F (0.154, 0.677, 0.954)
F (0.664, 0.081, 0.566)
F (0.947, 0.405, 0.131)
F (0.282, 0.885, 0.430)
F (0.521, 0.726, 0.023)
F (0.025, 0.217, 0.456)
F (0.270, 0.381, 0.884)
F (0.891, 0.764, 0.524)

***

No. 5
Density functional theory data (PBE) for an optimized crystal structure of B.

Its offset from the most stable computed form is 321 meV/atom.

abc: 5.239 5.239 5.239
angles: 60.00 60.00 60.00
Sites, in units of the cell vectors:
B (0.500, 0.500, 0.838)
B (0.838, 0.162, 0.500)
B (0.500, 0.500, 0.162)
B (0.162, 0.838, 0.500)
B (0.838, 0.500, 0.500)
B (0.500, 0.838, 0.162)
B (0.162, 0.500, 0.500)
B (0.500, 0.162, 0.838)
B (0.500, 0.838, 0.500)
B (0.162, 0.500, 0.838)
B (0.500, 0.162, 0.500)
B (0.838, 0.500, 0.162)

***

No. 6
Density functional theory data (PBE) for an optimized crystal structure of Ca4MgZnAs4H8O20.

The total energy is -5.869 eV per atom.

abc: 5.659 5.964 13.199
angles: 92.11 81.70 109.52
Sites, in units of the cell vectors:
Ca (0.232, 0.588, 0.119)
Ca (0.731, 0.088, 0.619)
Ca (0.269, 0.912, 0.381)
Ca (0.768, 0.412, 0.881)
Mg (0.500, 0.500, 0.500)
Zn (0.000, 0.000, 0.000)
As (0.950, 0.285, 0.377)
As (0.449, 0.783, 0.877)
As (0.551, 0.217, 0.123)
As (0.050, 0.715, 0.623)
H (0.727, 0.813, 0.347)
H (0.229, 0.312, 0.847)
H (0.771, 0.688, 0.153)
H (0.273, 0.187, 0.653)
H (0.541, 0.575, 0.302)
H (0.042, 0.073, 0.802)
H (0.958, 0.927, 0.198)
H (0.459, 0.425, 0.698)
O (0.641, 0.223, 0.436)
O (0.138, 0.718, 0.934)
O (0.862, 0.282, 0.066)
O (0.359, 0.777, 0.564)
O (0.058, 0.537, 0.304)
O (0.558, 0.036, 0.804)
O (0.442, 0.964, 0.196)
O (0.942, 0.463, 0.696)
O (0.560, 0.680, 0.364)
O (0.058, 0.181, 0.864)
O (0.942, 0.819, 0.136)
O (0.440, 0.320, 0.636)
O (0.127, 0.281, 0.474)
O (0.620, 0.778, 0.976)
O (0.380, 0.222, 0.024)
O (0.873, 0.719, 0.526)
O (0.968, 0.036, 0.309)
O (0.468, 0.535, 0.808)
O (0.532, 0.465, 0.192)
O (0.032, 0.964, 0.691)

***

Please write out number 5 again, unchanged.
Density functional theory data (PBE) for an optimized crystal structure of B.

Its offset from the most stable computed form is 321 meV/atom.

abc: 5.239 5.239 5.239
angles: 60.00 60.00 60.00
Sites, in units of the cell vectors:
B (0.500, 0.500, 0.838)
B (0.838, 0.162, 0.500)
B (0.500, 0.500, 0.162)
B (0.162, 0.838, 0.500)
B (0.838, 0.500, 0.500)
B (0.500, 0.838, 0.162)
B (0.162, 0.500, 0.500)
B (0.500, 0.162, 0.838)
B (0.500, 0.838, 0.500)
B (0.162, 0.500, 0.838)
B (0.500, 0.162, 0.500)
B (0.838, 0.500, 0.162)